Record 1
# Na2Al2Si3H4O12 GGA-PBE relaxed
# Calculated formation energy   -2.13 eV per atom
# Total DFT energy (no corrections)   -6.207 eV per atom
# Polymorph energy (0 for the lowest one)   557 meV per atom
data_Na2Al2Si3H4O12
_chemical_formula_sum 'Na16 Al16 Si24 H32 O96'
_cell_length_a 18.868
_cell_length_b 20.185
_cell_length_c 6.762
_cell_angle_alpha 90.00
_cell_angle_beta 90.00
_cell_angle_gamma 90.00
_space_group_name_H-M_alt 'F d d 2'
_space_group_IT_number 43
_space_group_name_Hall 'F 2 -2d'
loop_
_atom_site_label
_atom_site_fract_x
_atom_site_fract_y
_atom_site_fract_z
Na1 0.031 0.304 0.000
Al1 0.098 0.466 0.055
Si1 0.000 0.000 0.185
Si2 0.035 0.083 0.809
H1 0.066 0.142 0.294
H2 0.087 0.164 0.363
O1 0.021 0.062 0.037
O2 0.035 0.409 0.171
O3 0.054 0.219 0.741
O4 0.066 0.476 0.815
O5 0.072 0.159 0.864
O6 0.096 0.038 0.708

Record 2
# Gd4Ge3S12 GGA-PBE relaxed
# Calculated formation energy   -1.55 eV per atom
# Total DFT energy (no corrections)   -7.534 eV per atom
data_Gd4Ge3S12
_chemical_formula_sum 'Gd24 Ge18 S72'
_cell_length_a 19.2305
_cell_length_b 19.2305
_cell_length_c 7.8741
_cell_angle_alpha 90.00
_cell_angle_beta 90.00
_cell_angle_gamma 120.00
_space_group_name_H-M_alt 'R 3 c'
_space_group_IT_number 161
_space_group_name_Hall 'R 3 -2"c'
loop_
_atom_site_label
_atom_site_fract_x
_atom_site_fract_y
_atom_site_fract_z
Gd1 0.0000 0.0000 0.0000
Gd2 0.1059 0.4339 0.4596
Ge1 0.0123 0.1995 0.3426
S1 0.0031 0.2750 0.1379
S2 0.0436 0.4848 0.1755
S3 0.0586 0.1225 0.7511
S4 0.2017 0.0888 0.5034

Record 3
# U3Sn7 GGA-PBE relaxed
# Calculated formation energy   -0.13 eV per atom
# Total DFT energy (no corrections)   -6.321 eV per atom
data_U3Sn7
_chemical_formula_sum 'U6 Sn14'
_cell_length_a 4.494
_cell_length_b 24.129
_cell_length_c 4.658
_cell_angle_alpha 90.00
_cell_angle_beta 90.00
_cell_angle_gamma 90.00
_space_group_name_H-M_alt 'C m m m'
_space_group_IT_number 65
_space_group_name_Hall '-C 2 2'
loop_
_atom_site_label
_atom_site_fract_x
_atom_site_fract_y
_atom_site_fract_z
U1 0.000 0.000 0.000
U2 0.000 0.192 0.000
Sn1 0.000 0.099 0.500
Sn2 0.000 0.294 0.500
Sn3 0.000 0.403 0.000
Sn4 0.000 0.500 0.500

Record 4
# SrLi4CaSi2O8 GGA-PBE relaxed
# Calculated formation energy   -3.04 eV per atom
# Total DFT energy (no corrections)   -6.553 eV per atom
data_SrLi4CaSi2O8
_chemical_formula_sum 'Sr4 Li16 Ca4 Si8 O32'
_cell_length_a 5.035
_cell_length_b 10.039
_cell_length_c 14.230
_cell_angle_alpha 90.00
_cell_angle_beta 90.00
_cell_angle_gamma 90.00
_space_group_name_H-M_alt 'P b c m'
_space_group_IT_number 57
loop_
_space_group_symop_operation_xyz
'x,y,z'
'-x,-y,-z'
'-x,-y,z+1/2'
'x,y,-z+1/2'
'x,-y+1/2,-z'
'-x,y+1/2,z'
'-x,y+1/2,-z+1/2'
'x,-y+1/2,z+1/2'
loop_
_atom_site_label
_atom_site_fract_x
_atom_site_fract_y
_atom_site_fract_z
Sr1 0.055 0.232 0.250
Li1 0.041 0.003 0.628
Li2 0.483 0.725 0.128
Ca1 0.500 0.000 0.000
Si1 0.017 0.250 0.000
Si2 0.474 0.524 0.750
O1 0.179 0.650 0.061
O2 0.203 0.000 0.750
O3 0.210 0.165 0.573
O4 0.335 0.045 0.156
O5 0.419 0.688 0.750

Record 5
# SiAs2 GGA-PBE relaxed
# Calculated formation energy   0.05 eV per atom
# Total DFT energy (no corrections)   -4.868 eV per atom
# Polymorph energy (0 for the lowest one)   118 meV per atom
data_SiAs2
_chemical_formula_sum 'Si4 As8'
_cell_length_a 6.104
_cell_length_b 6.104
_cell_length_c 6.104
_cell_angle_alpha 90.00
_cell_angle_beta 90.00
_cell_angle_gamma 90.00
_space_group_name_H-M_alt 'P a -3'
_space_group_IT_number 205
_space_group_name_Hall '-P 2ac 2ab 3'
loop_
_atom_site_label
_atom_site_fract_x
_atom_site_fract_y
_atom_site_fract_z
Si1 0.000 0.000 0.000
As1 0.116 0.616 0.884

Record 6
# BeSe GGA-PBE relaxed
# Calculated formation energy   -1.03 eV per atom
# Largest piezoelectric modulus   0.2 C/m2
# Total DFT energy (no corrections)   -4.411 eV per atom
# Polymorph energy (0 for the lowest one)   0 meV per atom
data_BeSe
_chemical_formula_sum 'Be4 Se4'
_cell_length_a 5.184
_cell_length_b 5.184
_cell_length_c 5.184
_cell_angle_alpha 90.00
_cell_angle_beta 90.00
_cell_angle_gamma 90.00
_space_group_name_H-M_alt 'F -4 3 m'
_space_group_IT_number 216
_space_group_name_Hall 'F -4 2 3'
loop_
_atom_site_label
_atom_site_fract_x
_atom_site_fract_y
_atom_site_fract_z
Be1 0.000 0.000 0.000
Se1 0.250 0.250 0.250

Record 7
# Nb2CN GGA-PBE relaxed
# Calculated formation energy   -0.80 eV per atom
# Total DFT energy (no corrections)   -10.150 eV per atom
data_Nb2CN
_chemical_formula_sum 'Nb6 C3 N3'
_cell_length_a 3.1768
_cell_length_b 3.1768
_cell_length_c 15.5699
_cell_angle_alpha 90.00
_cell_angle_beta 90.00
_cell_angle_gamma 120.00
_space_group_name_H-M_alt 'R -3 m'
_space_group_IT_number 166
_space_group_name_Hall '-R 3 2"'
loop_
_atom_site_label
_atom_site_fract_x
_atom_site_fract_y
_atom_site_fract_z
Nb1 0.0000 0.0000 0.2434
C1 0.0000 0.0000 0.5000
N1 0.0000 0.0000 0.0000

Record 8
# Al2H10S3O17 GGA-PBE relaxed
# Calculated formation energy   -1.85 eV per atom
# Total DFT energy (no corrections)   -5.798 eV per atom
data_Al2H10S3O17
_chemical_formula_sum 'Al8 H40 S12 O68'
_cell_length_a 5.538
_cell_length_b 10.910
_cell_length_c 21.070
_cell_angle_alpha 90.00
_cell_angle_beta 98.63
_cell_angle_gamma 90.00
_space_group_name_H-M_alt 'P 1 21/c 1'
_space_group_IT_number 14
loop_
_space_group_symop_operation_xyz
'x,y,z'
'-x,-y,-z'
'-x,y+1/2,-z+1/2'
'x,-y+1/2,z+1/2'
loop_
_atom_site_label
_atom_site_fract_x
_atom_site_fract_y
_atom_site_fract_z
Al1 0.000 0.000 0.000
Al2 0.000 0.000 0.500
Al3 0.399 0.239 0.313
H1 0.104 0.175 0.212
H2 0.137 0.174 0.708
H3 0.298 0.579 0.690
H4 0.310 0.561 0.203
H5 0.316 0.064 0.595
H6 0.321 0.165 0.019
H7 0.325 0.092 0.084
H8 0.363 0.627 0.762
H9 0.398 0.113 0.529
H10 0.428 0.608 0.274
S1 0.151 0.507 0.859
S2 0.208 0.005 0.866
S3 0.279 0.747 0.047
O1 0.025 0.036 0.171
O2 0.068 0.668 0.022
O3 0.104 0.046 0.668
O4 0.177 0.250 0.234
O5 0.177 0.514 0.931
O6 0.181 0.122 0.341
O7 0.190 0.625 0.548
O8 0.207 0.509 0.437
O9 0.216 0.118 0.045
O10 0.240 0.139 0.854
O11 0.296 0.053 0.548
O12 0.333 0.589 0.838
O13 0.363 0.710 0.114
O14 0.398 0.638 0.718
O15 0.418 0.567 0.351
O16 0.435 0.616 0.227
O17 0.477 0.736 0.008

Record 9
# PmSe2 GGA-PBE relaxed
# Calculated formation energy   -1.94 eV per atom
# Total DFT energy (no corrections)   -5.535 eV per atom
# Polymorph energy (0 for the lowest one)   0 meV per atom
data_PmSe2
_chemical_formula_sum 'Pm4 Se8'
_cell_length_a 8.518
_cell_length_b 4.175
_cell_length_c 8.384
_cell_angle_alpha 90.00
_cell_angle_beta 90.18
_cell_angle_gamma 90.00
_space_group_name_H-M_alt 'P 1 21/c 1'
_space_group_IT_number 14
loop_
_space_group_symop_operation_xyz
'x,y,z'
'-x,-y,-z'
'-x,y+1/2,-z+1/2'
'x,-y+1/2,z+1/2'
loop_
_atom_site_label
_atom_site_fract_x
_atom_site_fract_y
_atom_site_fract_z
Pm1 0.226 0.223 0.374
Se1 0.131 0.744 0.125
Se2 0.498 0.689 0.381

Record 10
# UCuSi2Ni GGA-PBE relaxed
# Calculated formation energy   -0.46 eV per atom
# Total DFT energy (no corrections)   -6.860 eV per atom
data_UCuSi2Ni
_chemical_formula_sum 'U2 Cu2 Si4 Ni2'
_cell_length_a 3.953
_cell_length_b 3.953
_cell_length_c 9.730
_cell_angle_alpha 90.00
_cell_angle_beta 90.00
_cell_angle_gamma 90.00
_space_group_name_H-M_alt 'I -4 m 2'
_space_group_IT_number 119
_space_group_name_Hall 'I -4 -2'
loop_
_atom_site_label
_atom_site_fract_x
_atom_site_fract_y
_atom_site_fract_z
U1 0.000 0.000 0.000
Cu1 0.000 0.500 0.750
Si1 0.000 0.000 0.380
Ni1 0.000 0.500 0.250

Record 11
# Li3Cu3P2O8 GGA-PBE relaxed
# Calculated formation energy   -2.07 eV per atom
# Total DFT energy (no corrections)   -6.003 eV per atom
# Polymorph energy (0 for the lowest one)   8 meV per atom
data_Li3Cu3P2O8
_chemical_formula_sum 'Li6 Cu6 P4 O16'
_cell_length_a 5.448
_cell_length_b 6.191
_cell_length_c 10.210
_cell_angle_alpha 89.81
_cell_angle_beta 89.52
_cell_angle_gamma 89.14
_space_group_name_H-M_alt 'P 1'
_space_group_IT_number 1
loop_
_space_group_symop_operation_xyz
'x,y,z'
loop_
_atom_site_label
_atom_site_fract_x
_atom_site_fract_y
_atom_site_fract_z
Li1 0.000 0.000 0.000
Li2 0.001 0.009 0.507
Li3 0.173 0.253 0.755
Li4 0.478 0.750 0.001
Li5 0.482 0.753 0.505
Li6 0.658 0.997 0.752
Cu1 0.110 0.255 0.249
Cu2 0.671 0.019 0.238
Cu3 0.673 0.483 0.243
Cu4 0.675 0.518 0.754
Cu5 0.980 0.496 0.012
Cu6 0.988 0.481 0.511
P1 0.156 0.760 0.751
P2 0.165 0.757 0.254
P3 0.496 0.244 0.992
P4 0.502 0.246 0.507
O1 0.012 0.961 0.804
O2 0.023 0.958 0.312
O3 0.024 0.555 0.306
O4 0.034 0.546 0.802
O5 0.159 0.762 0.599
O6 0.162 0.762 0.102
O7 0.226 0.235 0.041
O8 0.234 0.242 0.563
O9 0.424 0.765 0.806
O10 0.431 0.752 0.309
O11 0.493 0.245 0.355
O12 0.502 0.245 0.840
O13 0.614 0.457 0.043
O14 0.624 0.462 0.551
O15 0.642 0.039 0.040
O16 0.646 0.045 0.559